The following is a r²SCAN calculation of a relaxed Eu3Sn2S7 crystal, from Materials Project.

a = 11.357 Å, b = 12.626 Å, c = 3.994 Å
α = 90.00°, β = 90.00°, γ = 90.00°
Space group Pbam (No. 55)
One atom of each set of equivalent atoms:
Eu (0.000, 0.000, 0.000) x2
Eu (0.118, 0.348, 0.000) x4
Sn (0.212, 0.608, 0.500) x4
S (0.000, 0.500, 0.500) x2
S (0.083, 0.178, 0.500) x4
S (0.144, 0.709, 0.000) x4
S (0.203, 0.931, 0.500) x4

***

The following is a r²SCAN calculation of a relaxed Tb2EuS4 crystal, from Materials Project.

a = 8.484 Å, b = 8.484 Å, c = 8.423 Å
α = 90.00°, β = 90.00°, γ = 90.00°
Space group I-42d (No. 122)
One atom of each set of equivalent atoms:
Tb (0.125, 0.750, 0.125) x8
Eu (0.000, 0.000, 0.500) x4
S (0.073, 0.675, 0.439) x16

***

The following is a r²SCAN calculation of a relaxed Eu5Zr3S12 crystal, from Materials Project.

a = 11.7319 Å, b = 11.7319 Å, c = 3.9165 Å
α = 90.00°, β = 90.00°, γ = 120.00°
Space group P-62m (No. 189)
One atom of each set of equivalent atoms:
Eu (0.0000, 0.7130, 0.0000) x3
Eu (0.3333, 0.6667, 0.0000) x2
Zr (0.0000, 0.3249, 0.5000) x3
S (0.0000, 0.1777, 0.0000) x3
S (0.0000, 0.4669, 0.0000) x3
S (0.1963, 0.7487, 0.5000) x6

***

The following is a r²SCAN calculation of a relaxed EuSb2 crystal, from Materials Project.

a = 4.650 Å, b = 4.361 Å, c = 9.001 Å
α = 90.00°, β = 104.87°, γ = 90.00°
Space group P2_1/m (No. 11)
One atom of each set of equivalent atoms:
Eu (0.105, 0.250, 0.212) x2
Sb (0.255, 0.750, 0.508) x2
Sb (0.444, 0.250, 0.884) x2

***

The following is a r²SCAN calculation of a relaxed EuSb2 crystal, from Materials Project.

a = 4.681 Å, b = 4.338 Å, c = 9.070 Å
α = 90.00°, β = 103.33°, γ = 90.00°
Space group P2_1/m (No. 11)
One atom of each set of equivalent atoms:
Eu (0.094, 0.250, 0.211) x2
Sb (0.290, 0.750, 0.511) x2
Sb (0.449, 0.250, 0.886) x2

***

The following is a r²SCAN calculation of a relaxed EuZn2Sb2 crystal, from Materials Project.

a = 4.5109 Å, b = 4.5109 Å, c = 7.5225 Å
α = 90.00°, β = 90.00°, γ = 120.00°
Space group P-3m1 (No. 164)
One atom of each set of equivalent atoms:
Eu (0.0000, 0.0000, 0.0000) x1
Zn (0.3333, 0.6667, 0.6385) x2
Sb (0.3333, 0.6667, 0.2674) x2

***

| no. | energy relative to the elements (eV per atom) |
| --- | --- |
| 1 | -1.467 |
| 2 | -2.392 |
| 3 | -2.107 |
| 4 | -0.831 |
| 5 | -0.834 |
| 6 | -0.593 |